A relaxed structure of NaSbBrOF3, computed with GGA-PBE.

The structure in POSCAR format:
```
NaSbBrOF3
1.0
-0.178 0.000 5.822
7.811 0.000 -0.533
0.000 12.016 0.000
Sb F Na Br O
4 12 4 4 4
Cartesian
5.270 4.850 1.468
2.452 10.858 0.910
5.181 1.158 4.379
2.364 7.166 3.821
6.564 0.530 3.079
1.183 9.439 0.262
6.314 0.074 -0.117
6.653 5.478 0.167
6.225 5.934 2.795
1.409 6.082 2.494
1.320 11.942 5.406
1.069 11.486 2.211
0.981 6.538 5.122
6.540 3.431 2.116
1.094 8.585 3.174
6.451 2.577 5.027
7.668 10.467 3.519
7.757 7.557 0.608
-0.124 4.459 4.681
-0.035 1.549 1.770
4.029 7.653 1.199
3.605 4.363 4.090
3.694 1.645 1.179
3.940 10.371 4.110
5.909 9.004 4.361
1.725 3.012 0.928
5.998 9.020 1.450
1.636 2.996 3.839
```

Summary:
The calculated density is 3.63 g/cm³. The formation energy comes out at -1.776 eV/atom. The value obtained for the total energy after the MP2020 corrections is -120.85 eV for the cell shown. The crystal system is monoclinic. For the spin magnetization, the calculation gives 8.0 μB per cell.